This record from the Materials Project database describes a relaxed In2Se3 crystal. The functional is GGA-PBE.

DFT total energy ... -3.399 eV per atom
Energy relative to the elements ... -11.17 kcal/mol of atoms
Energy with MP2020 corrections ... -3.683 eV/atom
Total magnetic moment ... 0.2 μB per formula unit

Unit cell a=10.003 b=10.003 c=10.003 alpha=24.01 beta=24.01 gamma=24.01
Sites, in units of the cell vectors:
Se  0.799  0.799  0.799
Se  0.000  0.000  0.000
Se  0.541  0.541  0.541
In  0.250  0.250  0.250
In  0.713  0.713  0.713

---

This record from the Materials Project database describes a relaxed Al4CrNi15 crystal. The functional is GGA-PBE.

DFT total energy ... -5.922 eV per atom
Energy relative to the elements ... -8.19 kcal/mol of atoms

Unit cell a=3.533 b=3.533 c=17.827 alpha=90.00 beta=90.00 gamma=90.00
Sites, in units of the cell vectors:
Al  0.000  0.000  0.600
Al  0.000  0.000  0.400
Al  0.000  0.000  0.200
Al  0.000  0.000  0.800
Ni  0.500  0.500  0.600
Ni  0.500  0.500  0.802
Ni  0.500  0.500  0.198
Ni  0.500  0.500  0.400
Ni  0.000  0.500  0.700
Ni  0.500  0.500  0.000
Ni  0.500  0.000  0.300
Ni  0.500  0.000  0.500
Ni  0.500  0.000  0.700
Ni  0.000  0.500  0.097
Ni  0.000  0.500  0.300
Ni  0.500  0.000  0.903
Ni  0.500  0.000  0.097
Ni  0.000  0.500  0.903
Ni  0.000  0.500  0.500
Cr  0.000  0.000  0.000